Entry from the Materials Project database: SmCu4Pd after structural relaxation (PBE).

```
data_SmCu4Pd
_space_group_name_H-M_alt 'R 3 m'
_space_group_IT_number 160
_space_group_name_Hall 'R 3 -2"'
_cell_length_a 4.9805
_cell_length_b 4.9805
_cell_length_c 13.0572
_cell_angle_alpha 90.00
_cell_angle_beta 90.00
_cell_angle_gamma 120.00
loop_
_atom_site_label
_atom_site_type_symbol
_atom_site_fract_x
_atom_site_fract_y
_atom_site_fract_z
_atom_site_occupancy
Sm1 Sm 0.0000 0.0000 0.0000 1
Cu1 Cu 0.0000 0.0000 0.2322 1
Cu2 Cu 0.0011 0.5006 0.1319 1
Pd1 Pd 0.0000 0.0000 0.6295 1
```

Calculated density ... 9.07 g/cm³
Formation energy from the elements ... -291.7 meV per atom


Entry from the Materials Project database: NbOF3 after structural relaxation (PBE).

```
data_NbOF3
_space_group_name_H-M_alt 'P 41'
_space_group_IT_number 76
_cell_length_a 5.668
_cell_length_b 5.668
_cell_length_c 9.782
_cell_angle_alpha 90.00
_cell_angle_beta 90.00
_cell_angle_gamma 90.00
loop_
_space_group_symop_operation_xyz
'x,y,z'
'-y,x,z+1/4'
'-x,-y,z+1/2'
'y,-x,z+3/4'
loop_
_atom_site_label
_atom_site_type_symbol
_atom_site_fract_x
_atom_site_fract_y
_atom_site_fract_z
_atom_site_occupancy
Nb1 Nb 0.085 0.607 0.000 1
O1 O 0.172 0.426 0.590 1
F1 F 0.069 0.190 0.344 1
F2 F 0.072 0.345 0.881 1
F3 F 0.298 0.437 0.128 1
```

Calculated density ... 3.51 g/cm³
Formation energy from the elements ... -3205.4 meV per atom


Entry from the Materials Project database: VNiN2 after structural relaxation (PBE).

```
data_VNiN2
_space_group_name_H-M_alt 'P 63/m m c'
_space_group_IT_number 194
_space_group_name_Hall '-P 6c 2c'
_cell_length_a 2.8592
_cell_length_b 2.8592
_cell_length_c 9.8279
_cell_angle_alpha 90.00
_cell_angle_beta 90.00
_cell_angle_gamma 120.00
loop_
_atom_site_label
_atom_site_type_symbol
_atom_site_fract_x
_atom_site_fract_y
_atom_site_fract_z
_atom_site_occupancy
V1 V 0.3333 0.6667 0.2500 1
Ni1 Ni 0.0000 0.0000 0.0000 1
N1 N 0.3333 0.6667 0.6281 1
```

Calculated density ... 6.57 g/cm³
Formation energy from the elements ... -349.1 meV per atom


Entry from the Materials Project database: MgVCu3S4 after structural relaxation (PBE).

```
data_MgVCu3S4
_space_group_name_H-M_alt 'P -4 2 m'
_space_group_IT_number 111
_cell_length_a 5.618
_cell_length_b 5.618
_cell_length_c 5.539
_cell_angle_alpha 90.00
_cell_angle_beta 90.00
_cell_angle_gamma 90.00
loop_
_space_group_symop_operation_xyz
'x,y,z'
'y,-x,-z'
'-x,-y,z'
'-y,x,-z'
'x,-y,-z'
'y,x,z'
'-x,y,-z'
'-y,-x,z'
loop_
_atom_site_label
_atom_site_type_symbol
_atom_site_fract_x
_atom_site_fract_y
_atom_site_fract_z
_atom_site_occupancy
Mg1 Mg 0.000 0.000 0.000 1
V1 V 0.500 0.500 0.000 1
Cu1 Cu 0.000 0.500 0.000 1
Cu2 Cu 0.500 0.500 0.500 1
S1 S 0.263 0.263 0.241 1
```

Calculated density ... 3.74 g/cm³
Polymorph energy (0 for the lowest one) ... 17 meV per atom
Formation energy from the elements ... -743.5 meV per atom


Entry from the Materials Project database: Sr3Y2B4O12 after structural relaxation (PBE).

```
data_Sr3Y2B4O12
_space_group_name_H-M_alt 'P n a 21'
_space_group_IT_number 33
_cell_length_a 7.412
_cell_length_b 8.748
_cell_length_c 16.339
_cell_angle_alpha 90.00
_cell_angle_beta 90.00
_cell_angle_gamma 90.00
loop_
_space_group_symop_operation_xyz
'x,y,z'
'-x,-y,z+1/2'
'-x+1/2,y+1/2,z+1/2'
'x+1/2,-y+1/2,z'
loop_
_atom_site_label
_atom_site_type_symbol
_atom_site_fract_x
_atom_site_fract_y
_atom_site_fract_z
_atom_site_occupancy
Sr1 Sr 0.028 0.164 0.000 1
Sr2 Sr 0.173 0.648 0.705 1
Sr3 Sr 0.191 0.651 0.956 1
Y1 Y 0.005 0.176 0.665 1
Y2 Y 0.184 0.529 0.332 1
B1 B 0.014 0.126 0.326 1
B2 B 0.159 0.434 0.541 1
B3 B 0.170 0.456 0.131 1
B4 B 0.211 0.347 0.828 1
O1 O 0.038 0.955 0.756 1
O2 O 0.055 0.926 0.900 1
O3 O 0.069 0.295 0.548 1
O4 O 0.086 0.548 0.189 1
O5 O 0.112 0.307 0.122 1
O6 O 0.112 0.528 0.476 1
O7 O 0.117 0.258 0.323 1
O8 O 0.127 0.485 0.834 1
O9 O 0.189 0.012 0.584 1
O10 O 0.203 0.968 0.095 1
O11 O 0.232 0.767 0.396 1
O12 O 0.236 0.272 0.753 1
```

Calculated density ... 4.24 g/cm³
Polymorph energy (0 for the lowest one) ... 0 meV per atom
Formation energy from the elements ... -3360.9 meV per atom


Entry from the Materials Project database: Eu2B5BrO9 after structural relaxation (PBE).

```
data_Eu2B5BrO9
_space_group_name_H-M_alt 'P n n 2'
_space_group_IT_number 34
_cell_length_a 11.497
_cell_length_b 11.625
_cell_length_c 6.545
_cell_angle_alpha 90.00
_cell_angle_beta 90.00
_cell_angle_gamma 90.00
loop_
_space_group_symop_operation_xyz
'x,y,z'
'-x,-y,z'
'-x+1/2,y+1/2,z+1/2'
'x+1/2,-y+1/2,z+1/2'
loop_
_atom_site_label
_atom_site_type_symbol
_atom_site_fract_x
_atom_site_fract_y
_atom_site_fract_z
_atom_site_occupancy
Eu1 Eu 0.049 0.245 0.000 1
Eu2 Eu 0.238 0.467 0.344 1
B1 B 0.003 0.751 0.471 1
B2 B 0.175 0.725 0.697 1
B3 B 0.202 0.813 0.345 1
B4 B 0.220 0.205 0.529 1
B5 B 0.236 0.036 0.307 1
Br1 Br 0.000 0.000 0.867 1
Br2 Br 0.000 0.500 0.129 1
O1 O 0.048 0.716 0.655 1
O2 O 0.074 0.792 0.317 1
O3 O 0.114 0.261 0.427 1
O4 O 0.182 0.755 0.914 1
O5 O 0.213 0.077 0.499 1
O6 O 0.227 0.223 0.748 1
O7 O 0.230 0.814 0.566 1
O8 O 0.231 0.924 0.246 1
O9 O 0.232 0.612 0.651 1
```

Calculated density ... 4.42 g/cm³
Formation energy from the elements ... -2962.6 meV per atom


Entry from the Materials Project database: Na2In5Au6 after structural relaxation (PBE).

```
data_Na2In5Au6
_space_group_name_H-M_alt 'P m -3'
_space_group_IT_number 200
_space_group_name_Hall '-P 2 2 3'
_cell_length_a 9.479
_cell_length_b 9.479
_cell_length_c 9.479
_cell_angle_alpha 90.00
_cell_angle_beta 90.00
_cell_angle_gamma 90.00
loop_
_atom_site_label
_atom_site_type_symbol
_atom_site_fract_x
_atom_site_fract_y
_atom_site_fract_z
_atom_site_occupancy
Na1 Na 0.000 0.328 0.500 1
In1 In 0.000 0.500 0.162 1
In2 In 0.217 0.217 0.217 1
In3 In 0.500 0.500 0.500 1
Au1 Au 0.000 0.000 0.235 1
Au2 Au 0.241 0.500 0.327 1
```

Calculated density ... 10.54 g/cm³
Formation energy from the elements ... -276.6 meV per atom


Entry from the Materials Project database: Tm2CuIr after structural relaxation (PBE).

```
data_Tm2CuIr
_space_group_name_H-M_alt 'F m -3 m'
_space_group_IT_number 225
_space_group_name_Hall '-F 4 2 3'
_cell_length_a 6.793
_cell_length_b 6.793
_cell_length_c 6.793
_cell_angle_alpha 90.00
_cell_angle_beta 90.00
_cell_angle_gamma 90.00
loop_
_atom_site_label
_atom_site_type_symbol
_atom_site_fract_x
_atom_site_fract_y
_atom_site_fract_z
_atom_site_occupancy
Tm1 Tm 0.250 0.250 0.250 1
Cu1 Cu 0.000 0.000 0.000 1
Ir1 Ir 0.000 0.000 0.500 1
```

Calculated density ... 12.58 g/cm³
Formation energy from the elements ... -666.6 meV per atom


Entry from the Materials Project database: Ba2DyNbO6 after structural relaxation (PBE).

```
data_Ba2DyNbO6
_space_group_name_H-M_alt 'P n -3'
_space_group_IT_number 201
_cell_length_a 8.559
_cell_length_b 8.559
_cell_length_c 8.559
_cell_angle_alpha 90.00
_cell_angle_beta 90.00
_cell_angle_gamma 90.00
loop_
_space_group_symop_operation_xyz
'x,y,z'
'-x,-y,-z'
'-x+1/2,-y+1/2,z'
'x+1/2,y+1/2,-z'
'x,-y+1/2,-z+1/2'
'-x,y+1/2,z+1/2'
'-x+1/2,y,-z+1/2'
'x+1/2,-y,z+1/2'
'z,x,y'
'-z,-x,-y'
'z,-x+1/2,-y+1/2'
'-z,x+1/2,y+1/2'
'-z+1/2,x,-y+1/2'
'z+1/2,-x,y+1/2'
'-z+1/2,-x+1/2,y'
'z+1/2,x+1/2,-y'
'y,z,x'
'-y,-z,-x'
'-y+1/2,z,-x+1/2'
'y+1/2,-z,x+1/2'
'-y+1/2,-z+1/2,x'
'y+1/2,z+1/2,-x'
'y,-z+1/2,-x+1/2'
'-y,z+1/2,x+1/2'
loop_
_atom_site_label
_atom_site_type_symbol
_atom_site_fract_x
_atom_site_fract_y
_atom_site_fract_z
_atom_site_occupancy
Ba1 Ba 0.250 0.250 0.250 1
Ba2 Ba 0.250 0.250 0.750 1
Dy1 Dy 0.000 0.000 0.000 1
Nb1 Nb 0.000 0.000 0.500 1
O1 O 0.016 0.518 0.763 1
```

Calculated density ... 6.63 g/cm³
Formation energy from the elements ... -3455.5 meV per atom


Entry from the Materials Project database: Ta5N6 after structural relaxation (PBE).

```
data_Ta5N6
_space_group_name_H-M_alt 'P 63/m c m'
_space_group_IT_number 193
_space_group_name_Hall '-P 6c 2'
_cell_length_a 6.5577
_cell_length_b 6.5577
_cell_length_c 6.5499
_cell_angle_alpha 90.00
_cell_angle_beta 90.00
_cell_angle_gamma 120.00
loop_
_atom_site_label
_atom_site_type_symbol
_atom_site_fract_x
_atom_site_fract_y
_atom_site_fract_z
_atom_site_occupancy
Ta1 Ta 0.0000 0.2411 0.2500 1
Ta2 Ta 0.3333 0.6667 0.0000 1
N1 N 0.0000 0.3294 0.5700 1
```

Calculated density ... 13.46 g/cm³
Polymorph energy (0 for the lowest one) ... 854 meV per atom
Formation energy from the elements ... -473.2 meV per atom


Entry from the Materials Project database: NbOF3 after structural relaxation (PBE).

```
data_NbOF3
_space_group_name_H-M_alt 'I m m m'
_space_group_IT_number 71
_space_group_name_Hall '-I 2 2'
_cell_length_a 3.890
_cell_length_b 4.128
_cell_length_c 8.730
_cell_angle_alpha 90.00
_cell_angle_beta 90.00
_cell_angle_gamma 90.00
loop_
_atom_site_label
_atom_site_type_symbol
_atom_site_fract_x
_atom_site_fract_y
_atom_site_fract_z
_atom_site_occupancy
Nb1 Nb 0.000 0.000 0.000 1
O1 O 0.000 0.500 0.500 1
F1 F 0.000 0.000 0.220 1
F2 F 0.000 0.500 0.000 1
```

Calculated density ... 3.93 g/cm³
Formation energy from the elements ... -3204.0 meV per atom


Entry from the Materials Project database: Na2UO4 after structural relaxation (PBE).

```
data_Na2UO4
_space_group_name_H-M_alt 'C m m m'
_space_group_IT_number 65
_space_group_name_Hall '-C 2 2'
_cell_length_a 6.762
_cell_length_b 9.995
_cell_length_c 3.501
_cell_angle_alpha 90.00
_cell_angle_beta 90.00
_cell_angle_gamma 90.00
loop_
_atom_site_label
_atom_site_type_symbol
_atom_site_fract_x
_atom_site_fract_y
_atom_site_fract_z
_atom_site_occupancy
Na1 Na 0.250 0.250 0.000 1
U1 U 0.000 0.000 0.500 1
O1 O 0.000 0.196 0.500 1
O2 O 0.192 0.000 0.000 1
```

Calculated density ... 4.88 g/cm³
Formation energy from the elements ... -2992.5 meV per atom